{"formula": "Na3LuSi2O7", "functional": "PBE", "state": "optimized geometry", "formation_enthalpy_0k_ev_per_fu": -39.98, "lattice_angstrom": [[9.4292, 0.0000, 0.0000], [-4.7146, 8.1659, 0.0000], [0.0000, 0.0000, 13.7728]], "species": ["Na", "Na", "Na", "Na", "Na", "Na", "Na", "Na", "Na", "Na", "Na", "Na", "Na", "Na", "Na", "Na", "Na", "Na", "Lu", "Lu", "Lu", "Lu", "Lu", "Lu", "Si", "Si", "Si", "Si", "Si", "Si", "Si", "Si", "Si", "Si", "Si", "Si", "O", "O", "O", "O", "O", "O", "O", "O", "O", "O", "O", "O", "O", "O", "O", "O", "O", "O", "O", "O", "O", "O", "O", "O", "O", "O", "O", "O", "O", "O", "O", "O", "O", "O", "O", "O", "O", "O", "O", "O", "O", "O"], "fractional_positions": [[0.0000, 0.0000, 0.0000], [0.0000, 0.0000, 0.5000], [0.0153, 0.3318, 0.0902], [0.0153, 0.3318, 0.4098], [0.3165, 0.9847, 0.0902], [0.3165, 0.9847, 0.4098], [0.3318, 0.3165, 0.5902], [0.3318, 0.3165, 0.9098], [0.3333, 0.6667, 0.2500], [0.3333, 0.6667, 0.7500], [0.6667, 0.3333, 0.2500], [0.6667, 0.3333, 0.7500], [0.6682, 0.6835, 0.0902], [0.6682, 0.6835, 0.4098], [0.6835, 0.0153, 0.5902], [0.6835, 0.0153, 0.9098], [0.9847, 0.6682, 0.5902], [0.9847, 0.6682, 0.9098], [0.0000, 0.0000, 0.2500], [0.0000, 0.0000, 0.7500], [0.3333, 0.6667, 0.0184], [0.3333, 0.6667, 0.4816], [0.6667, 0.3333, 0.5184], [0.6667, 0.3333, 0.9816], [0.0184, 0.3470, 0.6402], [0.0184, 0.3470, 0.8598], [0.3286, 0.9816, 0.6402], [0.3286, 0.9816, 0.8598], [0.3470, 0.3286, 0.1402], [0.3470, 0.3286, 0.3598], [0.6530, 0.6714, 0.6402], [0.6530, 0.6714, 0.8598], [0.6714, 0.0184, 0.1402], [0.6714, 0.0184, 0.3598], [0.9816, 0.6530, 0.1402], [0.9816, 0.6530, 0.3598], [0.0451, 0.8495, 0.1416], [0.0451, 0.8495, 0.3584], [0.0989, 0.4237, 0.7500], [0.1289, 0.6141, 0.1184], [0.1289, 0.6141, 0.3816], [0.1505, 0.1956, 0.1416], [0.1505, 0.1956, 0.3584], [0.1723, 0.4440, 0.5647], [0.1723, 0.4440, 0.9353], [0.1956, 0.0451, 0.6416], [0.1956, 0.0451, 0.8584], [0.2716, 0.8277, 0.5647], [0.2716, 0.8277, 0.9353], [0.3248, 0.9011, 0.7500], [0.3859, 0.5147, 0.1184], [0.3859, 0.5147, 0.3816], [0.4237, 0.3248, 0.2500], [0.4440, 0.2716, 0.0647], [0.4440, 0.2716, 0.4353], [0.4853, 0.8711, 0.1184], [0.4853, 0.8711, 0.3816], [0.5147, 0.1289, 0.6184], [0.5147, 0.1289, 0.8816], [0.5560, 0.7284, 0.5647], [0.5560, 0.7284, 0.9353], [0.5763, 0.6752, 0.7500], [0.6141, 0.4853, 0.6184], [0.6141, 0.4853, 0.8816], [0.6752, 0.0989, 0.2500], [0.7284, 0.1723, 0.0647], [0.7284, 0.1723, 0.4353], [0.8044, 0.9549, 0.1416], [0.8044, 0.9549, 0.3584], [0.8277, 0.5560, 0.0647], [0.8277, 0.5560, 0.4353], [0.8495, 0.8044, 0.6416], [0.8495, 0.8044, 0.8584], [0.8711, 0.3859, 0.6184], [0.8711, 0.3859, 0.8816], [0.9011, 0.5763, 0.2500], [0.9549, 0.1505, 0.6416], [0.9549, 0.1505, 0.8584]]}

{"formula": "Na5LuSi4O12", "functional": "PBE", "state": "optimized geometry", "formation_enthalpy_0k_ev_per_fu": -65.71, "e_above_lowest_polymorph_mev_per_atom": 12, "lattice_angstrom": [[11.0879, 6.4016, 4.2337], [-11.0879, 6.4016, 4.2337], [0.0000, -12.8032, 4.2337]], "species": ["Na", "Na", "Na", "Na", "Na", "Na", "Na", "Na", "Na", "Na", "Na", "Na", "Na", "Na", "Na", "Na", "Na", "Na", "Na", "Na", "Na", "Na", "Na", "Na", "Na", "Na", "Na", "Na", "Na", "Na", "Lu", "Lu", "Lu", "Lu", "Lu", "Lu", "Si", "Si", "Si", "Si", "Si", "Si", "Si", "Si", "Si", "Si", "Si", "Si", "Si", "Si", "Si", "Si", "Si", "Si", "Si", "Si", "Si", "Si", "Si", "Si", "O", "O", "O", "O", "O", "O", "O", "O", "O", "O", "O", "O", "O", "O", "O", "O", "O", "O", "O", "O", "O", "O", "O", "O", "O", "O", "O", "O", "O", "O", "O", "O", "O", "O", "O", "O", "O", "O", "O", "O", "O", "O", "O", "O", "O", "O", "O", "O", "O", "O", "O", "O", "O", "O", "O", "O", "O", "O", "O", "O", "O", "O", "O", "O", "O", "O", "O", "O", "O", "O", "O", "O"], "fractional_positions": [[0.0000, 0.0000, 0.0000], [0.0000, 0.7205, 0.2795], [0.0284, 0.8146, 0.8200], [0.1276, 0.6066, 0.6580], [0.1406, 0.6493, 0.1703], [0.1703, 0.1406, 0.6493], [0.1800, 0.1854, 0.9716], [0.1854, 0.9716, 0.1800], [0.2594, 0.2594, 0.2594], [0.2795, 0.0000, 0.7205], [0.3315, 0.5288, 0.3333], [0.3333, 0.3315, 0.5288], [0.3420, 0.3934, 0.8724], [0.3507, 0.8594, 0.8297], [0.3934, 0.8724, 0.3420], [0.4712, 0.6685, 0.6667], [0.5288, 0.3333, 0.3315], [0.6066, 0.6580, 0.1276], [0.6493, 0.1703, 0.1406], [0.6580, 0.1276, 0.6066], [0.6667, 0.4712, 0.6685], [0.6685, 0.6667, 0.4712], [0.7205, 0.2795, 0.0000], [0.7406, 0.7406, 0.7406], [0.8146, 0.8200, 0.0284], [0.8200, 0.0284, 0.8146], [0.8297, 0.3507, 0.8594], [0.8594, 0.8297, 0.3507], [0.8724, 0.3420, 0.3934], [0.9716, 0.1800, 0.1854], [0.0000, 0.2516, 0.7484], [0.2516, 0.7484, 0.0000], [0.2520, 0.7480, 0.5000], [0.5000, 0.2520, 0.7480], [0.7484, 0.0000, 0.2516], [0.7480, 0.5000, 0.2520], [0.0090, 0.7545, 0.5536], [0.0371, 0.3104, 0.0409], [0.0409, 0.0371, 0.3104], [0.0580, 0.2551, 0.5120], [0.1885, 0.4629, 0.4692], [0.2455, 0.9910, 0.4464], [0.2551, 0.5120, 0.0580], [0.3104, 0.0409, 0.0371], [0.4464, 0.2455, 0.9910], [0.4629, 0.4692, 0.1885], [0.4692, 0.1885, 0.4629], [0.4880, 0.7449, 0.9420], [0.5120, 0.0580, 0.2551], [0.5308, 0.5371, 0.8115], [0.5371, 0.8115, 0.5308], [0.5536, 0.0090, 0.7545], [0.6896, 0.9629, 0.9591], [0.7449, 0.9420, 0.4880], [0.7545, 0.5536, 0.0090], [0.8115, 0.5308, 0.5371], [0.9420, 0.4880, 0.7449], [0.9591, 0.6895, 0.9629], [0.9629, 0.9591, 0.6896], [0.9910, 0.4464, 0.2455], [0.0427, 0.8979, 0.6478], [0.0476, 0.3981, 0.3375], [0.0531, 0.1101, 0.7531], [0.0709, 0.2206, 0.0783], [0.0783, 0.0709, 0.2206], [0.0867, 0.5934, 0.8049], [0.0889, 0.2627, 0.6424], [0.0906, 0.5929, 0.3024], [0.1021, 0.9573, 0.3522], [0.1101, 0.7531, 0.0531], [0.1111, 0.1697, 0.4504], [0.1456, 0.7756, 0.5881], [0.1479, 0.4004, 0.5464], [0.1697, 0.4504, 0.1111], [0.1951, 0.4066, 0.9133], [0.2206, 0.0783, 0.0709], [0.2244, 0.8544, 0.4119], [0.2469, 0.8899, 0.9469], [0.2481, 0.6140, 0.5579], [0.2627, 0.6424, 0.0889], [0.2770, 0.4292, 0.4312], [0.3024, 0.0906, 0.5929], [0.3375, 0.0476, 0.3981], [0.3522, 0.1021, 0.9573], [0.3576, 0.7373, 0.9111], [0.3860, 0.7519, 0.4421], [0.3981, 0.3375, 0.0476], [0.4004, 0.5464, 0.1479], [0.4071, 0.9094, 0.6976], [0.4066, 0.9133, 0.1951], [0.4119, 0.2244, 0.8544], [0.4292, 0.4312, 0.2770], [0.4312, 0.2770, 0.4292], [0.4421, 0.3860, 0.7519], [0.4504, 0.1111, 0.1697], [0.4536, 0.5996, 0.8521], [0.5464, 0.1479, 0.4004], [0.5496, 0.8303, 0.8889], [0.5579, 0.2481, 0.6140], [0.5688, 0.5708, 0.7230], [0.5708, 0.7230, 0.5688], [0.5881, 0.1456, 0.7756], [0.5929, 0.3024, 0.0906], [0.5934, 0.8049, 0.0867], [0.5996, 0.8521, 0.4536], [0.6019, 0.9524, 0.6625], [0.6140, 0.5579, 0.2481], [0.6424, 0.0889, 0.2627], [0.6478, 0.0427, 0.8979], [0.6625, 0.6019, 0.9524], [0.6976, 0.4071, 0.9094], [0.7230, 0.5688, 0.5708], [0.7373, 0.9111, 0.3576], [0.7519, 0.4421, 0.3860], [0.7531, 0.0531, 0.1101], [0.7756, 0.5881, 0.1456], [0.7794, 0.9291, 0.9217], [0.8049, 0.0867, 0.5934], [0.8303, 0.8889, 0.5496], [0.8521, 0.4536, 0.5996], [0.8544, 0.4119, 0.2244], [0.8889, 0.5496, 0.8303], [0.8899, 0.9469, 0.2469], [0.8979, 0.6478, 0.0427], [0.9094, 0.6976, 0.4071], [0.9111, 0.3576, 0.7373], [0.9133, 0.1951, 0.4066], [0.9217, 0.7794, 0.9291], [0.9291, 0.9217, 0.7794], [0.9469, 0.2469, 0.8899], [0.9524, 0.6625, 0.6019], [0.9573, 0.3522, 0.1021]]}

{"formula": "NaLuTi2O6", "functional": "PBE", "state": "optimized geometry", "formation_enthalpy_0k_ev_per_fu": -34.50, "lattice_angstrom": [[7.5958, 0.0000, 0.0000], [0.0000, 5.5136, 0.0000], [0.0000, 0.0000, 5.2676]], "species": ["Na", "Na", "Lu", "Lu", "Ti", "Ti", "Ti", "Ti", "O", "O", "O", "O", "O", "O", "O", "O", "O", "O", "O", "O"], "fractional_positions": [[0.0000, 0.2053, 0.0000], [0.5000, 0.7947, 0.5000], [0.0000, 0.6774, 0.5292], [0.5000, 0.3226, 0.0292], [0.2483, 0.2386, 0.5167], [0.2517, 0.7614, 0.0167], [0.7483, 0.7614, 0.0167], [0.7517, 0.2386, 0.5167], [0.0000, 0.2829, 0.4302], [0.0000, 0.7773, 0.1245], [0.1929, 0.9403, 0.6944], [0.2055, 0.4635, 0.7942], [0.2945, 0.5365, 0.2942], [0.3071, 0.0597, 0.1944], [0.5000, 0.2227, 0.6245], [0.5000, 0.7171, 0.9302], [0.6929, 0.0597, 0.1944], [0.7055, 0.5365, 0.2942], [0.7945, 0.4635, 0.7942], [0.8071, 0.9403, 0.6944]]}

{"formula": "LuNbO4", "functional": "PBE", "state": "optimized geometry", "formation_enthalpy_0k_ev_per_fu": -21.49, "lattice_angstrom": [[3.5157, -5.4543, 0.0000], [3.5157, 5.4543, 0.0000], [-3.3930, 0.0000, 3.7911]], "species": ["Lu", "Lu", "Nb", "Nb", "O", "O", "O", "O", "O", "O", "O", "O"], "fractional_positions": [[0.1287, 0.8713, 0.7500], [0.8713, 0.1287, 0.2500], [0.3927, 0.6073, 0.2500], [0.6073, 0.3927, 0.7500], [0.1245, 0.5491, 0.3409], [0.2168, 0.2795, 0.7852], [0.2795, 0.2168, 0.2852], [0.4509, 0.8755, 0.1591], [0.5491, 0.1245, 0.8409], [0.7205, 0.7832, 0.7148], [0.7832, 0.7205, 0.2148], [0.8755, 0.4509, 0.6591]]}

{"formula": "Lu2Nb2O7", "functional": "PBE", "state": "optimized geometry", "formation_enthalpy_0k_ev_per_fu": -37.51, "lattice_angstrom": [[0.0000, 5.1208, 5.1208], [5.1208, 0.0000, 5.1208], [5.1208, 5.1208, 0.0000]], "species": ["Lu", "Lu", "Lu", "Lu", "Nb", "Nb", "Nb", "Nb", "O", "O", "O", "O", "O", "O", "O", "O", "O", "O", "O", "O", "O", "O"], "fractional_positions": [[0.0000, 0.0000, 0.0000], [0.0000, 0.0000, 0.5000], [0.0000, 0.5000, 0.0000], [0.5000, 0.0000, 0.0000], [0.0000, 0.5000, 0.5000], [0.5000, 0.0000, 0.5000], [0.5000, 0.5000, 0.0000], [0.5000, 0.5000, 0.5000], [0.1250, 0.1250, 0.1250], [0.1506, 0.1506, 0.5994], [0.1506, 0.5994, 0.1506], [0.1506, 0.5994, 0.5994], [0.4006, 0.4006, 0.8494], [0.4006, 0.8494, 0.4006], [0.4006, 0.8494, 0.8494], [0.5994, 0.1506, 0.1506], [0.5994, 0.1506, 0.5994], [0.5994, 0.5994, 0.1506], [0.8494, 0.4006, 0.4006], [0.8494, 0.4006, 0.8494], [0.8494, 0.8494, 0.4006], [0.8750, 0.8750, 0.8750]]}

{"formula": "LuNbO4", "functional": "PBE", "state": "optimized geometry", "formation_enthalpy_0k_ev_per_fu": -21.45, "lattice_angstrom": [[5.0840, 0.0000, 0.0000], [0.0000, 5.4524, 0.0000], [-0.4724, 0.0000, 5.2414]], "species": ["Lu", "Lu", "Nb", "Nb", "O", "O", "O", "O", "O", "O", "O", "O"], "fractional_positions": [[0.0000, 0.2353, 0.2500], [0.0000, 0.7647, 0.7500], [0.5000, 0.2950, 0.7500], [0.5000, 0.7050, 0.2500], [0.2464, 0.0783, 0.5885], [0.2464, 0.9217, 0.0885], [0.2615, 0.4353, 0.9930], [0.2615, 0.5647, 0.4930], [0.7385, 0.4353, 0.5070], [0.7385, 0.5647, 0.0070], [0.7536, 0.0783, 0.9115], [0.7536, 0.9217, 0.4115]]}

{"formula": "LuNbO4", "functional": "PBE", "state": "optimized geometry", "formation_enthalpy_0k_ev_per_fu": -21.28, "lattice_angstrom": [[6.6836, -1.9987, 0.0000], [6.6836, 1.9987, 0.0000], [-2.1207, 0.0000, 6.8064]], "species": ["Lu", "Lu", "Nb", "Nb", "O", "O", "O", "O", "O", "O", "O", "O"], "fractional_positions": [[0.1957, 0.1957, 0.2955], [0.8043, 0.8043, 0.7045], [0.1009, 0.1009, 0.7140], [0.8991, 0.8991, 0.2860], [0.0490, 0.0490, 0.3676], [0.1328, 0.1328, 0.9821], [0.2457, 0.2457, 0.6414], [0.3700, 0.3700, 0.3005], [0.6300, 0.6300, 0.6995], [0.7543, 0.7543, 0.3586], [0.8672, 0.8672, 0.0179], [0.9510, 0.9510, 0.6324]]}

{"formula": "Nd3Lu", "functional": "PBE", "state": "optimized geometry", "formation_enthalpy_0k_ev_per_fu": 0.02, "lattice_angstrom": [[5.1242, 0.0000, 0.0000], [0.0000, 5.1242, 0.0000], [0.0000, 0.0000, 5.1242]], "species": ["Nd", "Nd", "Nd", "Lu"], "fractional_positions": [[0.0000, 0.0000, 0.5000], [0.0000, 0.5000, 0.0000], [0.5000, 0.0000, 0.0000], [0.5000, 0.5000, 0.5000]]}

{"formula": "NdLuO3", "functional": "PBE", "state": "optimized geometry", "formation_enthalpy_0k_ev_per_fu": -19.65, "lattice_angstrom": [[5.9796, 0.0000, 0.0000], [0.0000, 8.3271, 0.0000], [0.0000, 0.0000, 5.7317]], "species": ["Nd", "Nd", "Nd", "Nd", "Lu", "Lu", "Lu", "Lu", "O", "O", "O", "O", "O", "O", "O", "O", "O", "O", "O", "O"], "fractional_positions": [[0.0546, 0.2500, 0.0145], [0.4454, 0.7500, 0.5145], [0.5546, 0.2500, 0.4855], [0.9454, 0.7500, 0.9855], [0.0000, 0.0000, 0.5000], [0.0000, 0.5000, 0.5000], [0.5000, 0.0000, 0.0000], [0.5000, 0.5000, 0.0000], [0.0541, 0.7500, 0.3760], [0.1911, 0.5650, 0.8112], [0.1911, 0.9350, 0.8112], [0.3089, 0.0650, 0.3112], [0.3089, 0.4350, 0.3112], [0.4459, 0.2500, 0.8760], [0.5541, 0.7500, 0.1240], [0.6911, 0.5650, 0.6888], [0.6911, 0.9350, 0.6888], [0.8089, 0.0650, 0.1888], [0.8089, 0.4350, 0.1888], [0.9459, 0.2500, 0.6240]]}

{"formula": "Nd4Lu11S22", "functional": "PBE", "state": "optimized geometry", "formation_enthalpy_0k_ev_per_fu": -86.56, "lattice_angstrom": [[19.3953, -1.9555, 0.0000], [19.3953, 1.9555, 0.0000], [-0.2742, 0.0000, 11.2511]], "species": ["Nd", "Nd", "Nd", "Nd", "Lu", "Lu", "Lu", "Lu", "Lu", "Lu", "Lu", "Lu", "Lu", "Lu", "Lu", "S", "S", "S", "S", "S", "S", "S", "S", "S", "S", "S", "S", "S", "S", "S", "S", "S", "S", "S", "S", "S", "S"], "fractional_positions": [[0.1044, 0.1044, 0.0131], [0.3669, 0.3669, 0.3485], [0.6331, 0.6331, 0.6515], [0.8956, 0.8956, 0.9869], [0.0000, 0.0000, 0.0000], [0.0698, 0.0698, 0.3610], [0.2023, 0.2023, 0.9416], [0.2634, 0.2634, 0.3519], [0.3423, 0.3423, 0.6986], [0.4618, 0.4618, 0.2708], [0.5382, 0.5382, 0.7292], [0.6577, 0.6577, 0.3014], [0.7366, 0.7366, 0.6481], [0.7977, 0.7977, 0.0584], [0.9302, 0.9302, 0.6390], [0.0079, 0.0079, 0.2402], [0.0872, 0.0872, 0.7531], [0.1349, 0.1349, 0.4522], [0.1690, 0.1690, 0.1517], [0.1896, 0.1896, 0.6913], [0.2550, 0.2550, 0.1191], [0.2803, 0.2803, 0.5895], [0.3500, 0.3500, 0.0920], [0.4072, 0.4072, 0.7863], [0.4450, 0.4450, 0.4936], [0.4534, 0.4534, 0.0311], [0.5466, 0.5466, 0.9689], [0.5550, 0.5550, 0.5064], [0.5928, 0.5928, 0.2137], [0.6500, 0.6500, 0.9080], [0.7197, 0.7197, 0.4105], [0.7450, 0.7450, 0.8809], [0.8104, 0.8104, 0.3087], [0.8310, 0.8310, 0.8483], [0.8651, 0.8651, 0.5478], [0.9128, 0.9128, 0.2469], [0.9921, 0.9921, 0.7598]]}

Question: Number 4 is which compound?
Answer: LuNbO4